(1)
{"formula": "BaEuW4O12", "functional": "GGA+U", "state": "relaxed", "lattice_angstrom": [[-4.1093, -0.4933, 3.9699], [-1.5019, -5.0846, -2.1865], [5.2963, -3.7230, 5.0196]], "species": ["W", "W", "W", "W", "Eu", "Ba", "O", "O", "O", "O", "O", "O", "O", "O", "O", "O", "O", "O"], "frac_coords": [[0.0000, 0.5000, 0.2514], [0.0000, 0.5000, 0.7486], [0.5000, 0.0000, 0.7486], [0.5000, 0.0000, 0.2514], [0.0000, 0.0000, 0.5000], [0.5000, 0.5000, 0.0000], [0.0000, 0.5000, 0.0000], [0.7571, 0.7571, 0.7442], [0.2429, 0.7571, 0.7442], [0.5000, 0.0000, 0.5000], [0.5000, 0.0000, 0.0000], [0.7571, 0.7571, 0.2558], [0.7571, 0.2429, 0.7442], [0.2429, 0.2429, 0.2558], [0.2429, 0.7571, 0.2558], [0.2429, 0.2429, 0.7442], [0.7571, 0.2429, 0.2558], [0.0000, 0.5000, 0.5000]], "volume_a3_per_atom": 14.97, "ef_ev_per_fu": -36.97, "final_energy_ev_per_atom": -7.4646}

---

(2)
{"formula": "Ba7Fe7F34", "functional": "GGA+U", "state": "relaxed", "lattice_angstrom": [[-9.5064, 3.2323, 2.7060], [-7.5171, -4.9500, -5.2089], [-1.9430, -5.5838, 5.2841]], "species": ["F", "F", "F", "F", "F", "F", "F", "F", "F", "F", "F", "F", "F", "F", "F", "F", "F", "F", "F", "F", "F", "F", "F", "F", "F", "F", "F", "F", "F", "F", "F", "F", "F", "F", "Fe", "Fe", "Fe", "Fe", "Fe", "Fe", "Fe", "Ba", "Ba", "Ba", "Ba", "Ba", "Ba", "Ba"], "frac_coords": [[0.7173, 0.4493, 0.8837], [0.7760, 0.0208, 0.1189], [0.6518, 0.8888, 0.9567], [0.2240, 0.9792, 0.8811], [0.8888, 0.6518, 0.9567], [0.1023, 0.1023, 0.1925], [0.7808, 0.2155, 0.6961], [0.5088, 0.2441, 0.4716], [0.2827, 0.5507, 0.1163], [0.7559, 0.4912, 0.5284], [0.4292, 0.4292, 0.8231], [0.0208, 0.7760, 0.1189], [0.0438, 0.5180, 0.2997], [0.2615, 0.0020, 0.5114], [0.5180, 0.0438, 0.2997], [0.4820, 0.9562, 0.7003], [0.7845, 0.2192, 0.3039], [0.3482, 0.1112, 0.0433], [0.5708, 0.5708, 0.1769], [0.1112, 0.3482, 0.0433], [0.9562, 0.4820, 0.7003], [0.8977, 0.8977, 0.8075], [0.0020, 0.2615, 0.5114], [0.9792, 0.2240, 0.8811], [0.2463, 0.2463, 0.7442], [0.2192, 0.7845, 0.3039], [0.7385, 0.9980, 0.4886], [0.5507, 0.2827, 0.1163], [0.2155, 0.7808, 0.6961], [0.7537, 0.7537, 0.2558], [0.4493, 0.7173, 0.8837], [0.4912, 0.7559, 0.5284], [0.9980, 0.7385, 0.4886], [0.2441, 0.5088, 0.4716], [0.6476, 0.1375, 0.2997], [0.8625, 0.3524, 0.7003], [0.3524, 0.8625, 0.7003], [0.8348, 0.8348, 0.0397], [0.1375, 0.6476, 0.2997], [0.5000, 0.5000, 0.0000], [0.1652, 0.1652, 0.9603], [0.2616, 0.2616, 0.3847], [0.0000, 0.0000, 0.5000], [0.7384, 0.7384, 0.6153], [0.5504, 0.1604, 0.7997], [0.1604, 0.5504, 0.7997], [0.4496, 0.8396, 0.2003], [0.8396, 0.4496, 0.2003]], "volume_a3_per_atom": 16.12, "ef_ev_per_fu": -160.64, "final_energy_ev_per_atom": -5.5616}